The following is a PBE-GGA calculation of crystalline USiNi at its relaxed geometry, from the Materials Project.

It has space group Pnma (No. 62), with a = 7.2929 Å, b = 3.7808 Å, c = 6.8803 Å, α = 90.00°, β = 90.00° and γ = 90.00°. The inequivalent atoms are U at (0.0017, 0.2500, 0.1323), Si at (0.1965, 0.2500, 0.6271) and Ni at (0.1252, 0.7500, 0.4375).

The calculation puts the energy of formation at -0.5150 eV/atom. The value obtained for the calculated volume is 47 Å³/f.u. As for the crystal system: orthorhombic. As for the total energy: -8.01 eV per atom.